# TiAs2O7 (PBE-GGA, relaxed)
# energy relative to the lowest polymorph listed for this composition	16	meV per atom
# formation energy	-2.176	eV/atom
# ρ	3.890	g cm⁻³
# DFT total energy	-6.880	eV per atom
data_TiAs2O7
_symmetry_space_group_name_H-M 'C 1 2/c 1'
_symmetry_Int_Tables_number 15
_cell_length_a 7.0170
_cell_length_b 8.1054
_cell_length_c 9.5827
_cell_angle_alpha 90.00
_cell_angle_beta 104.02
_cell_angle_gamma 90.00
loop_
_symmetry_equiv_pos_as_xyz
'x,y,z'
'-x,-y,-z'
'-x,y,-z+1/2'
'x,-y,z+1/2'
'x+1/2,y+1/2,z'
'-x+1/2,-y+1/2,-z'
'-x+1/2,y+1/2,-z+1/2'
'x+1/2,-y+1/2,z+1/2'
loop_
_atom_site_label
_atom_site_fract_x
_atom_site_fract_y
_atom_site_fract_z
Ti1 0.0000 0.0000 0.0000
As1 0.1947 0.3662 0.1983
O1 0.0000 0.4725 0.2500
O2 0.1053 0.1810 0.1291
O3 0.1287 0.1603 0.6458
O4 0.2405 0.0079 0.9238

# Gd2Ga9Ir3 (PBE-GGA, relaxed)
# formation energy	-0.677	eV/atom
# ρ	10.523	g cm⁻³
# DFT total energy	-6.528	eV per atom
data_Gd2Ga9Ir3
_symmetry_space_group_name_H-M 'C m c m'
_symmetry_Int_Tables_number 63
_symmetry_space_group_name_Hall '-C 2c 2'
_cell_length_a 13.1626
_cell_length_b 7.6207
_cell_length_c 9.5560
_cell_angle_alpha 90.00
_cell_angle_beta 90.00
_cell_angle_gamma 90.00
loop_
_atom_site_label
_atom_site_fract_x
_atom_site_fract_y
_atom_site_fract_z
Gd1 0.1645 0.1674 0.2500
Ga1 0.0000 0.1256 0.7500
Ga2 0.0000 0.3339 0.0605
Ga3 0.1044 0.4413 0.7500
Ga4 0.1667 0.1673 0.5763
Ir1 0.0000 0.0000 0.0000
Ir2 0.1714 0.5000 0.0000